GGA+U Li3V2C4O12, optimized geometry; space group = P2_1; energy relative to the lowest polymorph listed for this composition = 16 meV per atom; energy of formation = -2.0745 eV/atom; raw total energy = -7.243 eV/atom
1.0
6.226 0.000 0.000
0.000 9.733 0.000
-0.287 0.000 7.824
Li V C O
6 4 8 24
Direct
0.093 0.000 0.367 Li
0.096 0.000 0.743 Li
0.169 0.517 0.986 Li
0.831 0.017 0.014 Li
0.904 0.500 0.257 Li
0.907 0.500 0.633 Li
0.430 0.792 0.950 V
0.465 0.807 0.524 V
0.535 0.307 0.476 V
0.570 0.292 0.050 V
0.047 0.259 0.498 C
0.066 0.259 0.005 C
0.399 0.541 0.709 C
0.484 0.569 0.244 C
0.516 0.069 0.756 C
0.601 0.041 0.291 C
0.934 0.759 0.995 C
0.953 0.759 0.502 C
0.053 0.137 0.946 O
0.055 0.134 0.545 O
0.102 0.828 0.943 O
0.134 0.830 0.505 O
0.207 0.513 0.740 O
0.213 0.327 0.447 O
0.245 0.326 0.019 O
0.428 0.607 0.092 O
0.434 0.943 0.737 O
0.456 0.951 0.331 O
0.468 0.643 0.376 O
0.470 0.670 0.725 O
0.530 0.170 0.275 O
0.532 0.143 0.624 O
0.544 0.451 0.669 O
0.566 0.443 0.263 O
0.572 0.107 0.908 O
0.755 0.826 0.981 O
0.787 0.827 0.553 O
0.793 0.013 0.260 O
0.866 0.330 0.495 O
0.898 0.328 0.057 O
0.945 0.634 0.455 O
0.947 0.637 0.054 O

***

GGA+U LiVCO4, optimized geometry; space group = P-1; energy of formation = -2.2255 eV/atom; raw total energy = -7.306 eV/atom
1.0
3.185 0.000 0.000
0.000 9.364 0.000
0.247 0.008 9.426
Li V C O
4 4 4 16
Direct
0.247 0.192 0.092 Li
0.247 0.308 0.591 Li
0.753 0.692 0.409 Li
0.753 0.808 0.908 Li
0.260 0.562 0.119 V
0.260 0.939 0.619 V
0.740 0.061 0.381 V
0.740 0.438 0.881 V
0.244 0.630 0.666 C
0.244 0.870 0.166 C
0.756 0.130 0.834 C
0.756 0.370 0.334 C
0.235 0.507 0.740 O
0.235 0.993 0.240 O
0.243 0.628 0.533 O
0.243 0.872 0.033 O
0.248 0.113 0.501 O
0.249 0.387 0.002 O
0.259 0.751 0.240 O
0.260 0.749 0.739 O
0.740 0.251 0.261 O
0.741 0.249 0.760 O
0.751 0.613 0.998 O
0.752 0.887 0.499 O
0.757 0.128 0.967 O
0.757 0.372 0.467 O
0.765 0.007 0.760 O
0.765 0.493 0.260 O

***

GGA+U LiV2C4O12, optimized geometry; space group = Cc; energy relative to the lowest polymorph listed for this composition = 3 meV per atom; energy of formation = -2.0261 eV/atom; raw total energy = -7.538 eV/atom
1.0
4.509 -5.998 0.000
4.509 5.998 0.000
-4.254 0.000 7.623
Li V C O
2 4 8 24
Direct
0.126 0.874 0.500 Li
0.874 0.126 0.000 Li
0.126 0.381 0.499 V
0.381 0.126 0.999 V
0.626 0.871 0.500 V
0.871 0.626 0.000 V
0.312 0.924 0.242 C
0.327 0.440 0.254 C
0.423 0.815 0.740 C
0.440 0.327 0.754 C
0.815 0.423 0.240 C
0.829 0.936 0.261 C
0.924 0.312 0.742 C
0.936 0.829 0.761 C
0.068 0.995 0.894 O
0.080 0.403 0.724 O
0.155 0.770 0.112 O
0.161 0.350 0.264 O
0.263 0.688 0.598 O
0.350 0.161 0.764 O
0.355 0.386 0.113 O
0.369 0.908 0.393 O
0.386 0.355 0.613 O
0.403 0.080 0.224 O
0.410 0.868 0.889 O
0.477 0.592 0.393 O
0.592 0.477 0.893 O
0.594 0.895 0.730 O
0.666 0.857 0.277 O
0.688 0.263 0.098 O
0.770 0.155 0.612 O
0.832 0.879 0.104 O
0.857 0.666 0.777 O
0.868 0.410 0.389 O
0.879 0.832 0.604 O
0.895 0.594 0.230 O
0.908 0.369 0.893 O
0.995 0.068 0.394 O